Record 1
# Na16Zn11Sn16

A geometry-optimized Na16Zn11Sn16 structure (GGA-PBE, the Materials Project database).

formation energy from the elements = -0.16 eV/atom
density = 4.53 Mg/m³

Unit cell a=16.144 b=18.905 c=18.905 alpha=60.98 beta=64.72 gamma=64.72
Sites, in units of the cell vectors:
Na 0.886 0.630 0.630
Sn 0.014 0.450 0.769
Na 0.560 0.263 0.963
Sn 0.986 0.550 0.231
Zn 0.502 0.082 0.082
Sn 0.312 0.083 0.083
Na 0.214 0.943 0.638
Na 0.000 0.260 0.898
Zn 0.491 0.329 0.329
Sn 0.848 0.744 0.744
Na 0.158 0.602 0.240
Sn 0.897 0.944 0.103
Na 0.663 0.424 0.233
Sn 0.388 0.862 0.362
Sn 0.612 0.138 0.638
Sn 0.233 0.731 0.050
Na 0.440 0.037 0.737
Na 0.000 0.898 0.260
Na 0.786 0.362 0.057
Zn 0.333 0.582 0.582
Zn 0.149 0.171 0.171
Zn 0.626 0.259 0.104
Sn 0.608 0.045 0.545
Sn 0.056 0.444 0.603
Na 0.856 0.421 0.421
Sn 0.235 0.816 0.157
Zn 0.011 0.759 0.604
Sn 0.999 0.910 0.748
Zn 0.358 0.064 0.922
Sn 0.657 0.590 0.752
Zn 0.556 0.893 0.648
Zn 0.989 0.241 0.396
Na 0.680 0.733 0.924
Zn 0.989 0.396 0.241
Sn 0.999 0.748 0.910
Na 0.205 0.443 0.138
Sn 0.657 0.752 0.590
Na 0.585 0.761 0.446
Na 0.663 0.233 0.424
Na 0.998 0.057 0.551
Na 0.415 0.239 0.554
Sn 0.944 0.397 0.556
Na 0.205 0.138 0.443
Na 0.607 0.443 0.949
Sn 0.001 0.090 0.252
Sn 0.478 0.417 0.417
Zn 0.455 0.606 0.848
Na 0.792 0.739 0.054
Na 0.680 0.924 0.733
Na 0.215 0.763 0.463
Zn 0.090 0.348 0.106
Zn 0.842 0.242 0.242
Na 0.605 0.750 0.250
Sn 0.442 0.174 0.933
Na 0.440 0.737 0.037
Na 0.786 0.057 0.362
Na 0.605 0.250 0.750
Zn 0.545 0.152 0.394
Zn 0.910 0.894 0.652
Sn 0.791 0.316 0.657
Sn 0.558 0.826 0.067
Sn 0.442 0.933 0.174
Sn 0.392 0.955 0.455
Na 0.743 0.559 0.559
Sn 0.198 0.955 0.455
Na 0.785 0.237 0.537
Na 0.114 0.370 0.370
Zn 0.444 0.352 0.107
Na 0.337 0.576 0.767
Zn 0.556 0.648 0.893
Na 0.214 0.638 0.943
Sn 0.767 0.269 0.950
Na 0.144 0.579 0.579
Sn 0.558 0.067 0.826
Na 0.395 0.250 0.750
Na 0.560 0.963 0.263
Na 0.842 0.398 0.760
Sn 0.549 0.326 0.567
Na 0.158 0.240 0.602
Na 0.792 0.054 0.739
Na 0.000 0.740 0.102
Zn 0.090 0.106 0.348
Sn 0.233 0.050 0.731
Sn 0.235 0.157 0.816
Zn 0.344 0.436 0.578
Na 0.393 0.557 0.051
Zn 0.326 0.258 0.258
Na 0.320 0.076 0.267
Sn 0.388 0.362 0.862
Sn 0.336 0.756 0.756
Sn 0.001 0.252 0.090
Zn 0.509 0.671 0.671
Zn 0.097 0.607 0.852
Na 0.257 0.441 0.441
Sn 0.897 0.103 0.944
Zn 0.903 0.393 0.148
Zn 0.626 0.104 0.259
Sn 0.608 0.545 0.045
Zn 0.444 0.107 0.352
Na 0.002 0.449 0.943
Sn 0.451 0.674 0.433
Sn 0.014 0.769 0.450
Sn 0.522 0.583 0.583
Na 0.139 0.059 0.059
Na 0.998 0.551 0.057
Na 0.000 0.102 0.740
Zn 0.545 0.394 0.152
Na 0.785 0.537 0.237
Zn 0.097 0.852 0.607
Na 0.698 0.079 0.079
Na 0.842 0.760 0.398
Sn 0.343 0.410 0.248
Sn 0.392 0.455 0.955
Sn 0.767 0.950 0.269
Sn 0.451 0.433 0.674
Zn 0.642 0.078 0.936
Na 0.320 0.267 0.076
Sn 0.549 0.567 0.326
Zn 0.011 0.604 0.759
Sn 0.831 0.329 0.329
Sn 0.056 0.603 0.444
Na 0.337 0.767 0.576
Zn 0.656 0.422 0.564
Sn 0.944 0.556 0.397
Na 0.395 0.750 0.250
Sn 0.612 0.638 0.138
Sn 0.802 0.545 0.045
Sn 0.490 0.171 0.171
Na 0.795 0.557 0.862
Na 0.208 0.261 0.946
Zn 0.374 0.896 0.741
Na 0.002 0.943 0.449
Na 0.393 0.051 0.557
Sn 0.209 0.343 0.684
Sn 0.169 0.671 0.671
Na 0.208 0.946 0.261
Zn 0.455 0.848 0.606
Na 0.215 0.463 0.763
Zn 0.910 0.652 0.894
Sn 0.791 0.657 0.316
Zn 0.903 0.148 0.393
Zn 0.642 0.936 0.078
Na 0.795 0.862 0.557
Sn 0.765 0.843 0.184
Sn 0.688 0.917 0.917
Zn 0.656 0.564 0.422
Zn 0.851 0.829 0.829
Sn 0.198 0.455 0.955
Sn 0.209 0.684 0.343
Zn 0.358 0.922 0.064
Zn 0.498 0.918 0.918
Sn 0.103 0.897 0.056
Zn 0.344 0.578 0.436
Sn 0.986 0.231 0.550
Zn 0.674 0.742 0.742
Na 0.415 0.554 0.239
Na 0.302 0.921 0.921
Na 0.607 0.949 0.443
Zn 0.667 0.418 0.418
Sn 0.802 0.045 0.545
Sn 0.343 0.248 0.410
Sn 0.765 0.184 0.843
Na 0.854 0.130 0.130
Sn 0.103 0.056 0.897
Na 0.146 0.870 0.870
Sn 0.664 0.244 0.244
Na 0.861 0.941 0.941
Zn 0.158 0.758 0.758
Zn 0.374 0.741 0.896
Sn 0.152 0.256 0.256
Sn 0.510 0.829 0.829
Na 0.585 0.446 0.761


Record 2
# NaSr3

A geometry-optimized NaSr3 structure (GGA-PBE, the Materials Project database).

formation energy from the elements = 0.04 eV/atom
density = 2.32 Mg/m³

Unit cell a=8.326 b=8.326 c=6.801 alpha=90.00 beta=90.00 gamma=120.00
Sites, in units of the cell vectors:
Na 0.667 0.333 0.250
Sr 0.167 0.335 0.250
Sr 0.665 0.833 0.250
Sr 0.833 0.665 0.750
Na 0.333 0.667 0.750
Sr 0.167 0.833 0.250
Sr 0.335 0.167 0.750
Sr 0.833 0.167 0.750